## one
An optimized crystal structure of AlSeCl7, computed with PBE.

The structure in CIF format:
```
data_AlSeCl7
_cell_length_a 6.575
_cell_length_b 8.466
_cell_length_c 10.207
_cell_angle_alpha 85.69
_cell_angle_beta 76.70
_cell_angle_gamma 83.56
_symmetry_space_group_name_H-M 'P 1'
_symmetry_Int_Tables_number 1
loop_
_symmetry_equiv_pos_as_xyz
'x,y,z'
loop_
_atom_site_label
_atom_site_fract_x
_atom_site_fract_y
_atom_site_fract_z
Al1 0.000 0.000 0.000
Al2 0.249 0.442 0.436
Se1 0.573 0.605 0.010
Se2 0.788 0.052 0.479
Cl1 0.049 0.199 0.858
Cl2 0.055 0.938 0.553
Cl3 0.071 0.057 0.188
Cl4 0.202 0.796 0.911
Cl5 0.272 0.634 0.279
Cl6 0.330 0.524 0.607
Cl7 0.432 0.389 0.992
Cl8 0.452 0.235 0.353
Cl9 0.575 0.094 0.673
Cl10 0.666 0.837 0.436
Cl11 0.676 0.943 0.039
Cl12 0.765 0.614 0.806
Cl13 0.814 0.507 0.115
Cl14 0.924 0.385 0.484
```



## two
An optimized crystal structure of AlSeCl7, computed with PBE.

The structure in CIF format:
```
data_AlSeCl7
_cell_length_a 6.863
_cell_length_b 8.729
_cell_length_c 10.205
_cell_angle_alpha 85.78
_cell_angle_beta 73.71
_cell_angle_gamma 82.90
_symmetry_space_group_name_H-M 'P 1'
_symmetry_Int_Tables_number 1
loop_
_symmetry_equiv_pos_as_xyz
'x,y,z'
loop_
_atom_site_label
_atom_site_fract_x
_atom_site_fract_y
_atom_site_fract_z
Al1 0.000 0.000 0.000
Al2 0.254 0.428 0.419
Se1 0.575 0.551 0.782
Se2 0.802 0.046 0.466
Cl1 0.061 0.941 0.535
Cl2 0.066 0.191 0.857
Cl3 0.075 0.048 0.187
Cl4 0.194 0.796 0.910
Cl5 0.285 0.616 0.272
Cl6 0.309 0.504 0.604
Cl7 0.462 0.226 0.346
Cl8 0.472 0.396 0.948
Cl9 0.589 0.085 0.667
Cl10 0.690 0.836 0.426
Cl11 0.692 0.951 0.042
Cl12 0.824 0.488 0.129
Cl13 0.837 0.629 0.816
Cl14 0.940 0.368 0.477
```



Relative energy of each structure, in meV per atom: one 0; two 142.



## one
An optimized crystal structure of SrAl2Cl8, computed with PBE.

The structure in CIF format:
```
data_SrAl2Cl8
_cell_length_a 7.395
_cell_length_b 7.108
_cell_length_c 12.939
_cell_angle_alpha 90.00
_cell_angle_beta 94.55
_cell_angle_gamma 90.00
_symmetry_space_group_name_H-M 'P 1 2/c 1'
_symmetry_Int_Tables_number 13
loop_
_symmetry_equiv_pos_as_xyz
'x,y,z'
'-x,-y,-z'
'-x,y,-z+1/2'
'x,-y,z+1/2'
loop_
_atom_site_label
_atom_site_fract_x
_atom_site_fract_y
_atom_site_fract_z
Sr1 0.000 0.156 0.250
Al1 0.184 0.263 0.921
Cl1 0.096 0.180 0.613
Cl2 0.244 0.305 0.085
Cl3 0.248 0.479 0.346
Cl4 0.336 0.032 0.864
```



## two
An optimized crystal structure of SrAl2Cl8, computed with PBE.

The structure in CIF format:
```
data_SrAl2Cl8
_cell_length_a 11.622
_cell_length_b 20.611
_cell_length_c 11.747
_cell_angle_alpha 90.00
_cell_angle_beta 90.00
_cell_angle_gamma 90.00
_symmetry_space_group_name_H-M 'P b c a'
_symmetry_Int_Tables_number 61
loop_
_symmetry_equiv_pos_as_xyz
'x,y,z'
'-x,-y,-z'
'-x+1/2,-y,z+1/2'
'x+1/2,y,-z+1/2'
'x+1/2,-y+1/2,-z'
'-x+1/2,y+1/2,z'
'-x,y+1/2,-z+1/2'
'x,-y+1/2,z+1/2'
loop_
_atom_site_label
_atom_site_fract_x
_atom_site_fract_y
_atom_site_fract_z
Sr1 0.237 0.125 0.008
Al1 0.028 0.739 0.541
Al2 0.214 0.002 0.753
Cl1 0.004 0.671 0.404
Cl2 0.007 0.661 0.988
Cl3 0.093 0.018 0.890
Cl4 0.102 0.210 0.838
Cl5 0.139 0.001 0.584
Cl6 0.165 0.581 0.776
Cl7 0.204 0.092 0.262
Cl8 0.204 0.739 0.604
```



Relative energy of each structure, in meV per atom: one 8; two 0.



## one
An optimized crystal structure of Al2CoRu, computed with PBE.

The structure in CIF format:
```
data_Al2CoRu
_cell_length_a 5.884
_cell_length_b 5.884
_cell_length_c 5.884
_cell_angle_alpha 90.00
_cell_angle_beta 90.00
_cell_angle_gamma 90.00
_symmetry_space_group_name_H-M 'F m -3 m'
_symmetry_Int_Tables_number 225
_symmetry_space_group_name_Hall '-F 4 2 3'
loop_
_atom_site_label
_atom_site_fract_x
_atom_site_fract_y
_atom_site_fract_z
Al1 0.250 0.250 0.250
Co1 0.000 0.000 0.000
Ru1 0.000 0.000 0.500
```



## two
An optimized crystal structure of Al2CoRu, computed with PBE.

The structure in CIF format:
```
data_Al2CoRu
_cell_length_a 2.953
_cell_length_b 2.953
_cell_length_c 5.856
_cell_angle_alpha 90.00
_cell_angle_beta 90.00
_cell_angle_gamma 90.00
_symmetry_space_group_name_H-M 'P 4/m m m'
_symmetry_Int_Tables_number 123
_symmetry_space_group_name_Hall '-P 4 2'
loop_
_atom_site_label
_atom_site_fract_x
_atom_site_fract_y
_atom_site_fract_z
Al1 0.000 0.000 0.242
Co1 0.500 0.500 0.000
Ru1 0.500 0.500 0.500
```



Relative energy of each structure, in meV per atom: one 0; two 19.